(one)
# PBE BaSi2O9, relaxed
# Space-group type ... Pnma
data_BaSi2O9
_chemical_formula_sum 'Ba4 Si8 O36'
_cell_length_a 5.3760
_cell_length_b 7.8358
_cell_length_c 16.0095
_cell_angle_alpha 90.00
_cell_angle_beta 90.00
_cell_angle_gamma 90.00
_symmetry_space_group_name_H-M 'P 1'
_symmetry_Int_Tables_number 1
_symmetry_space_group_name_Hall 'P 1'
loop_
_atom_site_label
_atom_site_type_symbol
_atom_site_fract_x
_atom_site_fract_y
_atom_site_fract_z
O1 O 0.1832 0.7500 0.5470
O2 O 0.4376 0.9735 0.2481
O3 O 0.0624 0.0265 0.7481
O4 O 0.3656 0.1103 0.9141
O5 O 0.1772 0.2500 0.2089
Si1 Si 0.8144 0.5428 0.7991
Ba1 Ba 0.6803 0.7500 0.5187
O6 O 0.0624 0.4735 0.7481
O7 O 0.4376 0.5265 0.2481
Ba2 Ba 0.8197 0.2500 0.0187
O8 O 0.1344 0.8897 0.4141
O9 O 0.8168 0.2500 0.4530
O10 O 0.2974 0.2500 0.8760
Ba3 Ba 0.1803 0.7500 0.9813
Si2 Si 0.1856 0.0428 0.2009
O11 O 0.9376 0.5265 0.2519
O12 O 0.6772 0.2500 0.2911
Ba4 Ba 0.3197 0.2500 0.4813
O13 O 0.6344 0.6103 0.0859
O14 O 0.1344 0.6103 0.4141
O15 O 0.5624 0.4735 0.7519
O16 O 0.6681 0.9837 0.3963
O17 O 0.8319 0.0163 0.8963
O18 O 0.8656 0.3897 0.5859
O19 O 0.8319 0.4837 0.8963
O20 O 0.3168 0.2500 0.0470
O21 O 0.3319 0.4837 0.6037
O22 O 0.8228 0.7500 0.7911
Si3 Si 0.6856 0.0428 0.2991
O23 O 0.3228 0.7500 0.7089
O24 O 0.5624 0.0265 0.7519
Si4 Si 0.3144 0.9572 0.7009
O25 O 0.6681 0.5163 0.3963
O26 O 0.3319 0.0163 0.6037
Si5 Si 0.8144 0.9572 0.7991
O27 O 0.7974 0.2500 0.6240
O28 O 0.1681 0.9837 0.1037
O29 O 0.6344 0.8897 0.0859
Si6 Si 0.6856 0.4572 0.2991
O30 O 0.6832 0.7500 0.9530
O31 O 0.7026 0.7500 0.1240
Si7 Si 0.1856 0.4572 0.2009
O32 O 0.2026 0.7500 0.3760
O33 O 0.8656 0.1103 0.5859
O34 O 0.3656 0.3897 0.9141
O35 O 0.1681 0.5163 0.1037
O36 O 0.9376 0.9735 0.2519
Si8 Si 0.3144 0.5428 0.7009



(two)
# PBE BaSi2O9, relaxed
# Space-group type ... P1
data_BaSi2O9
_chemical_formula_sum 'Ba4 Si8 O36'
_cell_length_a 5.4752
_cell_length_b 8.2848
_cell_length_c 17.2125
_cell_angle_alpha 90.01
_cell_angle_beta 89.88
_cell_angle_gamma 90.05
_symmetry_space_group_name_H-M 'P 1'
_symmetry_Int_Tables_number 1
_symmetry_space_group_name_Hall 'P 1'
loop_
_atom_site_label
_atom_site_type_symbol
_atom_site_fract_x
_atom_site_fract_y
_atom_site_fract_z
O1 O 0.7826 0.4677 0.8809
O2 O 0.6731 0.2500 0.5745
O3 O 0.4477 0.9987 0.2585
O4 O 0.8259 0.7497 0.0763
Ba1 Ba 0.3662 0.7494 0.0007
O5 O 0.0428 0.5154 0.5880
O6 O 0.9486 0.5000 0.2419
O7 O 0.7166 0.9670 0.3810
Si1 Si 0.7125 0.4443 0.2937
O8 O 0.7822 0.0326 0.8809
Si2 Si 0.7122 0.0549 0.2938
O9 O 0.1747 0.2504 0.9239
O10 O 0.5385 0.9878 0.9111
O11 O 0.0426 0.9847 0.5881
Si3 Si 0.2130 0.0549 0.2064
O12 O 0.9571 0.4846 0.4121
Si4 Si 0.2876 0.5555 0.7063
O13 O 0.5517 0.4994 0.7417
O14 O 0.7848 0.7503 0.8044
O15 O 0.1307 0.2500 0.9969
O16 O 0.9479 0.9991 0.2418
Si5 Si 0.2133 0.4444 0.2064
O17 O 0.2151 0.2496 0.1956
O18 O 0.5384 0.5118 0.9111
O19 O 0.5524 0.0012 0.7416
Ba2 Ba 0.6341 0.2505 0.9994
O20 O 0.9573 0.0152 0.4120
O21 O 0.7132 0.2496 0.3044
O22 O 0.2871 0.7503 0.6956
Si6 Si 0.7867 0.5555 0.7937
O23 O 0.2833 0.4673 0.6192
O24 O 0.2175 0.5323 0.1192
Ba3 Ba 0.1354 0.2502 0.5009
O25 O 0.2835 0.0328 0.6190
Ba4 Ba 0.8644 0.7498 0.4993
O26 O 0.4616 0.4880 0.0890
O27 O 0.4616 0.0124 0.0890
O28 O 0.7168 0.5328 0.3808
O29 O 0.3678 0.7497 0.4978
O30 O 0.0515 0.4999 0.7582
O31 O 0.6321 0.2508 0.5015
Si7 Si 0.7870 0.9450 0.7936
Si8 Si 0.2879 0.9450 0.7062
O32 O 0.4483 0.5004 0.2583
O33 O 0.8695 0.7507 0.0032
O34 O 0.3255 0.7502 0.4248
O35 O 0.0521 0.0007 0.7582
O36 O 0.2178 0.9673 0.1191



Most stable structure: (two)



(one)
# PBE BaSrTbSnO6, relaxed
# Space-group type ... P222
data_BaSrTbSnO6
_chemical_formula_sum 'Ba4 Sr4 Tb4 Sn4 O24'
_cell_length_a 8.5578
_cell_length_b 8.5547
_cell_length_c 8.5659
_cell_angle_alpha 90.00
_cell_angle_beta 90.00
_cell_angle_gamma 90.00
_symmetry_space_group_name_H-M 'P 1'
_symmetry_Int_Tables_number 1
_symmetry_space_group_name_Hall 'P 1'
loop_
_atom_site_label
_atom_site_type_symbol
_atom_site_fract_x
_atom_site_fract_y
_atom_site_fract_z
Sr1 Sr 0.5000 0.0000 0.5000
O1 O 0.4907 0.7141 0.2153
Tb1 Tb 0.7473 0.7499 0.2512
O2 O 0.2282 0.2738 0.9896
O3 O 0.7796 0.5101 0.7138
Ba1 Ba 0.0000 0.0000 0.0000
O4 O 0.7132 0.2162 0.4899
Ba2 Ba 0.5000 0.5000 0.5000
Tb2 Tb 0.7473 0.2501 0.7488
O5 O 0.0109 0.2281 0.7282
O6 O 0.7132 0.7838 0.5101
Ba3 Ba 0.0000 0.0000 0.5000
Sn1 Sn 0.2533 0.7496 0.2511
O7 O 0.2204 0.4899 0.7138
Sn2 Sn 0.2533 0.2504 0.7489
O8 O 0.9891 0.7719 0.7282
O9 O 0.2868 0.7838 0.4899
Sn3 Sn 0.7467 0.2504 0.2511
O10 O 0.9891 0.2281 0.2718
O11 O 0.2820 0.9898 0.2189
O12 O 0.7180 0.9898 0.7811
O13 O 0.7796 0.4899 0.2862
O14 O 0.2204 0.5101 0.2862
Ba4 Ba 0.0000 0.5000 0.0000
O15 O 0.5093 0.7141 0.7847
O16 O 0.2282 0.7262 0.0104
O17 O 0.2820 0.0102 0.7811
Sn4 Sn 0.7467 0.7496 0.7489
O18 O 0.5093 0.2859 0.2153
O19 O 0.2868 0.2162 0.5101
O20 O 0.4907 0.2859 0.7847
Sr2 Sr 0.5000 0.0000 0.0000
O21 O 0.7718 0.2738 0.0104
Tb3 Tb 0.2527 0.7499 0.7488
O22 O 0.0109 0.7719 0.2718
O23 O 0.7718 0.7262 0.9896
O24 O 0.7180 0.0102 0.2189
Sr3 Sr 0.5000 0.5000 0.0000
Sr4 Sr 0.0000 0.5000 0.5000
Tb4 Tb 0.2527 0.2501 0.2512



(two)
# PBE BaSrTbSnO6, relaxed
# Space-group type ... F-43m
data_BaSrTbSnO6
_chemical_formula_sum 'Ba1 Sr1 Tb1 Sn1 O6'
_cell_length_a 6.0791
_cell_length_b 6.0791
_cell_length_c 6.0791
_cell_angle_alpha 60.00
_cell_angle_beta 60.00
_cell_angle_gamma 60.00
_symmetry_space_group_name_H-M 'P 1'
_symmetry_Int_Tables_number 1
_symmetry_space_group_name_Hall 'P 1'
loop_
_atom_site_label
_atom_site_type_symbol
_atom_site_fract_x
_atom_site_fract_y
_atom_site_fract_z
O1 O 0.2407 0.7593 0.2407
O2 O 0.7593 0.7593 0.2407
O3 O 0.7593 0.2407 0.7593
Ba1 Ba 0.7500 0.7500 0.7500
Tb1 Tb 0.5000 0.5000 0.5000
O4 O 0.2407 0.2407 0.7593
O5 O 0.7593 0.2407 0.2407
Sn1 Sn 0.0000 0.0000 0.0000
Sr1 Sr 0.2500 0.2500 0.2500
O6 O 0.2407 0.7593 0.7593



Most stable structure: (one)



(one)
# PBE BaZr2SnO6, relaxed
# Space-group type ... Cmmm
data_BaZr2SnO6
_chemical_formula_sum 'Ba1 Zr2 Sn1 O6'
_cell_length_a 4.2356
_cell_length_b 5.9609
_cell_length_c 5.9609
_cell_angle_alpha 89.61
_cell_angle_beta 90.00
_cell_angle_gamma 90.00
_symmetry_space_group_name_H-M 'P 1'
_symmetry_Int_Tables_number 1
_symmetry_space_group_name_Hall 'P 1'
loop_
_atom_site_label
_atom_site_type_symbol
_atom_site_fract_x
_atom_site_fract_y
_atom_site_fract_z
O1 O 0.5000 0.0000 0.5000
Zr1 Zr 0.0000 0.5000 0.0000
Zr2 Zr 0.0000 0.0000 0.5000
O2 O 0.0000 0.2250 0.2250
O3 O 0.0000 0.2750 0.7250
O4 O 0.5000 0.5000 0.0000
Sn1 Sn 0.5000 0.5000 0.5000
Ba1 Ba 0.5000 0.0000 0.0000
O5 O 0.0000 0.7250 0.2750
O6 O 0.0000 0.7750 0.7750



(two)
# PBE BaZr2SnO6, relaxed
# Space-group type ... P4/mmm
data_BaZr2SnO6
_chemical_formula_sum 'Ba1 Zr2 Sn1 O6'
_cell_length_a 4.2279
_cell_length_b 4.2278
_cell_length_c 8.4516
_cell_angle_alpha 90.00
_cell_angle_beta 90.02
_cell_angle_gamma 90.00
_symmetry_space_group_name_H-M 'P 1'
_symmetry_Int_Tables_number 1
_symmetry_space_group_name_Hall 'P 1'
loop_
_atom_site_label
_atom_site_type_symbol
_atom_site_fract_x
_atom_site_fract_y
_atom_site_fract_z
O1 O 0.5000 0.0000 0.0000
Ba1 Ba 0.0000 0.5000 0.5000
Sn1 Sn 0.0000 0.5000 0.0000
Zr1 Zr 0.4999 0.0000 0.2471
O2 O 0.5000 0.0000 0.5000
O3 O 0.0000 0.0000 0.7503
O4 O 0.5000 0.5000 0.7503
Zr2 Zr 0.5001 0.0000 0.7529
O5 O 0.0000 0.0000 0.2497
O6 O 0.5000 0.5000 0.2497



Most stable structure: (one)